[1]
{"formula": "Li4MnCo2O7", "functional": "GGA+U", "state": "optimized geometry", "mass_density_g_cm3": 4.1, "e_above_lowest_polymorph_mev_per_atom": 58, "total_magnetization_mub_per_fu": 4.0, "sg": "P1, No. 1", "cell": [[2.984, 0.000, 0.000], [1.136, 7.713, 0.000], [1.384, 1.800, 10.976]], "species": ["Li", "Li", "Li", "Li", "Li", "Li", "Li", "Li", "Mn", "Mn", "Co", "Co", "Co", "Co", "O", "O", "O", "O", "O", "O", "O", "O", "O", "O", "O", "O", "O", "O"], "fractional_positions": [[0.791, 0.354, 0.075], [0.939, 0.773, 0.358], [0.070, 0.215, 0.642], [0.214, 0.646, 0.927], [0.335, 0.076, 0.223], [0.506, 0.500, 0.490], [0.647, 0.928, 0.783], [0.124, 0.434, 0.292], [0.010, 0.002, 0.998], [0.582, 0.704, 0.148], [0.288, 0.858, 0.569], [0.419, 0.289, 0.857], [0.709, 0.154, 0.425], [0.853, 0.571, 0.712], [0.366, 0.180, 0.029], [0.531, 0.617, 0.310], [0.694, 0.035, 0.592], [0.783, 0.461, 0.884], [0.004, 0.874, 0.168], [0.085, 0.305, 0.463], [0.256, 0.752, 0.739], [0.155, 0.556, 0.112], [0.352, 0.969, 0.403], [0.445, 0.397, 0.690], [0.646, 0.824, 0.972], [0.751, 0.231, 0.267], [0.887, 0.679, 0.543], [0.059, 0.116, 0.828]]}

***

[2]
{"formula": "Li7Mn4CoO12", "functional": "GGA+U", "state": "optimized geometry", "mass_density_g_cm3": 4.0, "e_above_lowest_polymorph_mev_per_atom": 47, "total_magnetization_mub_per_fu": 15.0, "sg": "P-1, No. 2", "cell": [[2.824, -0.010, 0.565], [1.725, 22.932, -1.673], [-2.703, 0.137, 6.169]], "species": ["Li", "Li", "Li", "Li", "Li", "Li", "Li", "Li", "Li", "Li", "Li", "Li", "Li", "Li", "Mn", "Mn", "Mn", "Mn", "Mn", "Mn", "Mn", "Mn", "Co", "Co", "O", "O", "O", "O", "O", "O", "O", "O", "O", "O", "O", "O", "O", "O", "O", "O", "O", "O", "O", "O", "O", "O", "O", "O"], "fractional_positions": [[0.666, 0.417, 0.749], [0.667, 0.916, 0.251], [0.666, 0.038, 0.367], [0.667, 0.539, 0.866], [0.667, 0.295, 0.633], [0.667, 0.794, 0.134], [0.003, 0.126, 0.133], [0.006, 0.625, 0.633], [0.330, 0.208, 0.867], [0.328, 0.708, 0.367], [0.328, 0.457, 0.112], [0.328, 0.958, 0.614], [0.005, 0.376, 0.386], [0.006, 0.876, 0.888], [0.011, 0.997, 0.021], [0.322, 0.336, 0.979], [0.336, 0.582, 0.250], [0.997, 0.751, 0.750], [0.013, 0.497, 0.519], [0.320, 0.836, 0.481], [0.335, 0.082, 0.753], [0.998, 0.251, 0.246], [0.667, 0.167, 0.500], [0.667, 0.667, 0.000], [0.508, 0.055, 0.066], [0.509, 0.555, 0.561], [0.826, 0.279, 0.934], [0.825, 0.778, 0.439], [0.838, 0.139, 0.813], [0.838, 0.639, 0.313], [0.495, 0.195, 0.187], [0.496, 0.694, 0.687], [0.173, 0.221, 0.561], [0.132, 0.725, 0.052], [0.160, 0.112, 0.439], [0.201, 0.608, 0.948], [0.153, 0.481, 0.786], [0.153, 0.981, 0.289], [0.180, 0.352, 0.711], [0.181, 0.852, 0.214], [0.837, 0.389, 0.057], [0.835, 0.889, 0.558], [0.499, 0.444, 0.442], [0.497, 0.944, 0.944], [0.492, 0.309, 0.291], [0.483, 0.810, 0.790], [0.841, 0.024, 0.709], [0.850, 0.524, 0.210]]}

***

[3]
{"formula": "Li3MnCoO5", "functional": "GGA+U", "state": "optimized geometry", "mass_density_g_cm3": 4.0, "e_above_lowest_polymorph_mev_per_atom": 94, "total_magnetization_mub_per_fu": 4.0, "sg": "Cm, No. 8", "cell": [[1.458, 10.452, 0.000], [-1.458, 10.452, 0.000], [0.000, 0.761, 5.902]], "species": ["Li", "Li", "Li", "Li", "Li", "Li", "Mn", "Mn", "Co", "Co", "O", "O", "O", "O", "O", "O", "O", "O", "O", "O"], "fractional_positions": [[0.795, 0.795, 0.102], [0.605, 0.605, 0.692], [0.389, 0.389, 0.314], [0.206, 0.206, 0.883], [0.003, 0.003, 0.499], [0.796, 0.796, 0.602], [0.001, 0.001, 0.000], [0.396, 0.396, 0.797], [0.608, 0.608, 0.205], [0.208, 0.208, 0.414], [0.699, 0.699, 0.640], [0.500, 0.500, 0.219], [0.309, 0.309, 0.848], [0.099, 0.099, 0.436], [0.905, 0.905, 0.023], [0.903, 0.903, 0.580], [0.695, 0.695, 0.151], [0.497, 0.497, 0.782], [0.295, 0.295, 0.347], [0.091, 0.091, 0.967]]}

***

[4]
{"formula": "Li3Mn3CoO8", "functional": "GGA+U", "state": "optimized geometry", "mass_density_g_cm3": 4.2, "e_above_lowest_polymorph_mev_per_atom": 0, "total_magnetization_mub_per_fu": 11.0, "sg": "P1, No. 1", "cell": [[0.154, 5.185, 2.853], [-4.739, 1.830, 3.243], [6.601, -3.639, 6.763]], "species": ["Li", "Li", "Li", "Li", "Li", "Li", "Mn", "Mn", "Mn", "Mn", "Mn", "Mn", "Co", "Co", "O", "O", "O", "O", "O", "O", "O", "O", "O", "O", "O", "O", "O", "O", "O", "O"], "fractional_positions": [[0.975, 0.500, 0.989], [0.541, 0.507, 0.527], [0.744, 0.497, 0.251], [0.253, 0.507, 0.751], [0.479, 0.500, 0.013], [0.022, 0.489, 0.480], [0.254, 0.016, 0.752], [0.012, 0.993, 0.498], [0.249, 0.986, 0.247], [0.744, 0.991, 0.249], [0.492, 0.001, 0.000], [0.755, 0.011, 0.751], [0.995, 0.001, 0.000], [0.503, 0.000, 0.500], [0.901, 0.229, 0.374], [0.345, 0.256, 0.869], [0.592, 0.744, 0.129], [0.159, 0.774, 0.628], [0.130, 0.202, 0.119], [0.665, 0.214, 0.619], [0.641, 0.199, 0.115], [0.175, 0.220, 0.622], [0.385, 0.194, 0.361], [0.898, 0.213, 0.871], [0.100, 0.791, 0.129], [0.611, 0.802, 0.636], [0.835, 0.778, 0.380], [0.344, 0.802, 0.881], [0.349, 0.780, 0.374], [0.854, 0.803, 0.883]]}

***

[5]
{"formula": "Li7Mn2Co3O12", "functional": "GGA+U", "state": "optimized geometry", "mass_density_g_cm3": 4.0, "e_above_lowest_polymorph_mev_per_atom": 81, "total_magnetization_mub_per_fu": 0.0, "sg": "P1, No. 1", "cell": [[5.037, -0.145, -0.323], [-2.213, 4.450, -0.213], [-0.229, -0.119, 9.819]], "species": ["Li", "Li", "Li", "Li", "Li", "Li", "Li", "Mn", "Mn", "Co", "Co", "Co", "O", "O", "O", "O", "O", "O", "O", "O", "O", "O", "O", "O"], "fractional_positions": [[0.830, 0.165, 0.500], [0.091, 0.431, 0.276], [0.571, 0.909, 0.725], [0.453, 0.104, 0.275], [0.902, 0.558, 0.728], [0.748, 0.756, 0.267], [0.234, 0.242, 0.730], [0.000, 0.000, 0.000], [0.662, 0.336, 0.000], [0.334, 0.666, 0.000], [0.518, 0.500, 0.503], [0.157, 0.829, 0.498], [0.686, 0.019, 0.105], [0.974, 0.317, 0.895], [0.216, 0.575, 0.613], [0.439, 0.770, 0.387], [0.023, 0.680, 0.102], [0.396, 0.387, 0.112], [0.313, 0.983, 0.897], [0.604, 0.613, 0.888], [0.534, 0.225, 0.622], [0.884, 0.864, 0.615], [0.793, 0.469, 0.380], [0.137, 0.101, 0.383]]}

***

[6]
{"formula": "Li4MnCo2O7", "functional": "GGA+U", "state": "optimized geometry", "mass_density_g_cm3": 4.2, "e_above_lowest_polymorph_mev_per_atom": 0, "total_magnetization_mub_per_fu": 4.0, "sg": "C2, No. 5", "cell": [[9.970, 2.550, 0.000], [-9.970, 2.550, 0.000], [0.000, 1.845, 4.805]], "species": ["Li", "Li", "Li", "Li", "Li", "Li", "Li", "Li", "Mn", "Mn", "Co", "Co", "Co", "Co", "O", "O", "O", "O", "O", "O", "O", "O", "O", "O", "O", "O", "O", "O"], "fractional_positions": [[0.930, 0.070, 0.500], [0.358, 0.642, 0.500], [0.788, 0.212, 0.500], [0.213, 0.787, 0.500], [0.638, 0.362, 0.500], [0.072, 0.928, 0.500], [0.502, 0.498, 0.500], [0.571, 0.429, 0.000], [0.001, 0.999, 0.000], [0.713, 0.287, 0.000], [0.429, 0.571, 0.000], [0.858, 0.142, 0.000], [0.286, 0.714, 0.000], [0.142, 0.858, 0.000], [0.702, 0.846, 0.231], [0.131, 0.419, 0.224], [0.561, 0.989, 0.230], [0.968, 0.539, 0.214], [0.395, 0.099, 0.222], [0.851, 0.709, 0.232], [0.244, 0.252, 0.215], [0.154, 0.298, 0.769], [0.581, 0.869, 0.776], [0.011, 0.439, 0.770], [0.461, 0.032, 0.786], [0.901, 0.605, 0.778], [0.291, 0.149, 0.768], [0.748, 0.756, 0.785]]}